No. 1
VASP calculation (PBE) on a relaxed HoErTl2 crystal.

abc: 5.343 5.343 5.343
angles: 60.00 60.00 60.00
Fractional coordinates of all 4 atoms:
Ho1 0.000 0.000 0.000
Er1 0.500 0.500 0.500
Tl1 0.250 0.250 0.250
Tl2 0.750 0.750 0.750

Calculated formation energy, eV per formula unit: -1.271
DFT total energy, eV/atom: -3.787

***

No. 2
VASP calculation (PBE) on a relaxed CeSe2 crystal.

abc: 8.134 8.134 4.594
angles: 90.00 90.00 151.71
Fractional coordinates of all 6 atoms:
Ce1 0.116 0.884 0.750
Ce2 0.884 0.116 0.250
Se1 0.245 0.755 0.250
Se2 0.431 0.569 0.750
Se3 0.569 0.431 0.250
Se4 0.755 0.245 0.750

Calculated formation energy, eV per formula unit: -5.159
DFT total energy, eV/atom: -5.713

***

No. 3
VASP calculation (PBE) on a relaxed Na5Al3SnP6O24 crystal.

abc: 8.616 8.619 21.819
angles: 89.95 89.94 60.05
Fractional coordinates of all 117 atoms:
Na1 0.000 0.000 0.000
Na2 0.000 0.358 0.756
Na3 0.005 0.727 0.504
Na4 0.008 0.358 0.256
Na5 0.332 0.334 0.671
Na6 0.334 0.699 0.917
Na7 0.335 0.706 0.419
Na8 0.366 0.364 0.000
Na9 0.635 0.731 0.000
Na10 0.637 0.366 0.504
Na11 0.660 0.032 0.087
Na12 0.668 0.032 0.589
Na13 0.698 0.699 0.671
Na14 0.700 0.334 0.170
Na15 0.969 0.698 0.170
Al1 0.001 0.359 0.605
Al2 0.001 0.364 0.897
Al3 0.002 0.362 0.398
Al4 0.006 0.360 0.103
Al5 0.333 0.705 0.568
Al6 0.334 0.699 0.068
Al7 0.661 0.032 0.236
Al8 0.667 0.032 0.934
Al9 0.672 0.032 0.737
Sn1 0.332 0.700 0.774
Sn2 0.334 0.700 0.273
Sn3 0.662 0.031 0.437
P1 0.001 0.652 0.003
P2 0.011 0.077 0.503
P3 0.039 0.702 0.667
P4 0.042 0.994 0.167
P5 0.282 0.367 0.504
P6 0.287 0.078 0.002
P7 0.330 0.993 0.667
P8 0.334 0.401 0.167
P9 0.371 0.040 0.335
P10 0.378 0.314 0.837
P11 0.626 0.702 0.167
P12 0.630 0.402 0.667
P13 0.675 0.320 0.335
P14 0.675 0.742 0.837
P15 0.712 0.647 0.504
P16 0.713 0.365 0.003
P17 0.949 0.039 0.838
P18 0.956 0.735 0.335
O1 0.017 0.183 0.159
O2 0.019 0.533 0.660
O3 0.033 0.163 0.445
O4 0.039 0.529 0.948
O5 0.128 0.868 0.111
O6 0.129 0.731 0.610
O7 0.138 0.867 0.834
O8 0.143 0.719 0.331
O9 0.156 0.916 0.225
O10 0.162 0.652 0.724
O11 0.163 0.388 0.159
O12 0.165 0.161 0.947
O13 0.166 0.401 0.447
O14 0.167 0.182 0.659
O15 0.170 0.674 0.011
O16 0.170 0.885 0.511
O17 0.187 0.207 0.343
O18 0.191 0.335 0.844
O19 0.201 0.337 0.562
O20 0.205 0.198 0.059
O21 0.288 0.525 0.224
O22 0.292 0.918 0.726
O23 0.308 0.534 0.510
O24 0.310 0.887 0.011
O25 0.354 0.869 0.331
O26 0.361 0.503 0.833
O27 0.371 0.490 0.111
O28 0.371 0.864 0.613
O29 0.464 0.064 0.279
O30 0.464 0.204 0.778
O31 0.477 0.202 0.500
O32 0.479 0.054 0.996
O33 0.485 0.994 0.394
O34 0.494 0.232 0.895
O35 0.501 0.010 0.676
O36 0.503 0.724 0.834
O37 0.504 0.507 0.331
O38 0.505 0.490 0.611
O39 0.506 0.219 0.176
O40 0.507 0.731 0.110
O41 0.522 0.534 0.011
O42 0.524 0.668 0.511
O43 0.553 0.526 0.724
O44 0.553 0.652 0.224
O45 0.633 0.250 0.395
O46 0.641 0.220 0.676
O47 0.641 0.858 0.895
O48 0.648 0.867 0.176
O49 0.689 0.198 0.996
O50 0.697 0.836 0.500
O51 0.698 0.828 0.778
O52 0.699 0.204 0.278
O53 0.798 0.531 0.447
O54 0.799 0.403 0.948
O55 0.814 0.388 0.659
O56 0.815 0.532 0.159
O57 0.829 0.329 0.061
O58 0.830 0.568 0.561
O59 0.833 0.843 0.996
O60 0.837 0.063 0.780
O61 0.838 0.055 0.499
O62 0.840 0.555 0.845
O63 0.840 0.828 0.278
O64 0.842 0.337 0.343
O65 0.852 0.867 0.676
O66 0.855 0.010 0.175
O67 0.868 0.005 0.896
O68 0.885 0.848 0.395
O69 0.964 0.572 0.061
O70 0.967 0.198 0.559
O71 0.971 0.205 0.845
O72 0.972 0.552 0.343

Calculated formation energy, eV per formula unit: -108.840
DFT total energy, eV/atom: -6.806

***

No. 4
VASP calculation (PBE) on a relaxed Nd23Mg4Ni7 crystal.

abc: 9.960 9.960 22.523
angles: 90.00 90.00 120.00
Fractional coordinates of all 68 atoms:
Nd1 0.000 0.000 0.052
Nd2 0.000 0.000 0.552
Nd3 0.080 0.540 0.137
Nd4 0.084 0.542 0.408
Nd5 0.129 0.257 0.687
Nd6 0.129 0.871 0.687
Nd7 0.205 0.411 0.834
Nd8 0.205 0.795 0.834
Nd9 0.207 0.415 0.271
Nd10 0.207 0.793 0.271
Nd11 0.208 0.416 0.000
Nd12 0.208 0.792 0.000
Nd13 0.211 0.421 0.543
Nd14 0.211 0.789 0.543
Nd15 0.257 0.129 0.187
Nd16 0.333 0.667 0.697
Nd17 0.411 0.205 0.334
Nd18 0.415 0.207 0.771
Nd19 0.416 0.208 0.500
Nd20 0.421 0.211 0.043
Nd21 0.458 0.542 0.408
Nd22 0.458 0.916 0.408
Nd23 0.460 0.540 0.137
Nd24 0.460 0.920 0.137
Nd25 0.540 0.080 0.637
Nd26 0.540 0.460 0.637
Nd27 0.542 0.084 0.908
Nd28 0.542 0.458 0.908
Nd29 0.579 0.789 0.543
Nd30 0.584 0.792 0.000
Nd31 0.585 0.793 0.271
Nd32 0.589 0.795 0.834
Nd33 0.667 0.333 0.197
Nd34 0.743 0.871 0.687
Nd35 0.789 0.211 0.043
Nd36 0.789 0.579 0.043
Nd37 0.792 0.208 0.500
Nd38 0.792 0.584 0.500
Nd39 0.793 0.207 0.771
Nd40 0.793 0.585 0.771
Nd41 0.795 0.205 0.334
Nd42 0.795 0.589 0.334
Nd43 0.871 0.129 0.187
Nd44 0.871 0.743 0.187
Nd45 0.916 0.458 0.908
Nd46 0.920 0.460 0.637
Mg1 0.000 0.000 0.302
Mg2 0.000 0.000 0.802
Mg3 0.106 0.211 0.415
Mg4 0.106 0.894 0.415
Mg5 0.211 0.106 0.915
Mg6 0.789 0.894 0.415
Mg7 0.894 0.106 0.915
Mg8 0.894 0.789 0.915
Ni1 0.042 0.521 0.762
Ni2 0.143 0.286 0.116
Ni3 0.143 0.857 0.116
Ni4 0.286 0.143 0.616
Ni5 0.333 0.667 0.916
Ni6 0.479 0.521 0.762
Ni7 0.479 0.958 0.762
Ni8 0.521 0.042 0.262
Ni9 0.521 0.479 0.262
Ni10 0.667 0.333 0.416
Ni11 0.714 0.857 0.116
Ni12 0.857 0.143 0.616
Ni13 0.857 0.714 0.616
Ni14 0.958 0.479 0.262

Calculated formation energy, eV per formula unit: -6.028
DFT total energy, eV/atom: -4.781

***

No. 5
VASP calculation (PBE) on a relaxed SbBrO crystal.

abc: 3.835 3.835 8.770
angles: 90.00 90.00 90.00
Fractional coordinates of all 6 atoms:
Sb1 0.250 0.250 0.140
Sb2 0.750 0.750 0.860
Br1 0.250 0.250 0.679
Br2 0.750 0.750 0.321
O1 0.250 0.750 0.000
O2 0.750 0.250 0.000

ΔE to the lowest computed polymorph, meV/atom: 34
Calculated formation energy, eV per formula unit: -3.731
DFT total energy, eV/atom: -4.586

***

No. 6
VASP calculation (PBE) on a relaxed LiMg2Pt crystal.

abc: 4.545 4.545 4.545
angles: 60.00 60.00 60.00
Fractional coordinates of all 4 atoms:
Li1 0.000 0.000 0.000
Mg1 0.250 0.250 0.250
Mg2 0.750 0.750 0.750
Pt1 0.500 0.500 0.500

Calculated formation energy, eV per formula unit: -2.514
DFT total energy, eV/atom: -3.424